YbZnPd2 (r2SCAN, relaxed); formation enthalpy at 0 K = -0.81 eV per atom; M_tot = 0.00 μB per formula unit; symmetry = No. 225; calculated total energy = -23.648 eV per atom
1.0
2.635 0.180 3.744
2.237 3.860 1.043
-1.311 2.504 3.606
Pd Yb Zn
2 1 1
Direct
0.000 0.000 0.000 Pd
0.500 0.500 0.500 Pd
0.250 0.250 0.250 Yb
0.750 0.750 0.750 Zn